## CsMgH3 (meta-GGA r2SCAN)

Data for a geometry-optimized CsMgH3 structure.

The structure in POSCAR format:
```
CsMgH3
1.0
3.116 1.799 7.421
-3.116 1.799 7.421
0.000 -3.598 7.421
Cs Mg H
3 3 9
Direct
0.000 0.000 0.000 Cs
0.213 0.213 0.213 Cs
0.787 0.787 0.787 Cs
0.379 0.379 0.379 Mg
0.500 0.500 0.500 Mg
0.621 0.621 0.621 Mg
0.000 0.500 0.500 H
0.287 0.695 0.695 H
0.305 0.305 0.713 H
0.305 0.713 0.305 H
0.500 0.000 0.500 H
0.500 0.500 0.000 H
0.695 0.287 0.695 H
0.695 0.695 0.287 H
0.713 0.305 0.305 H
```

Calculated values
Volume in Å³/atom: 16.6
DFT formation energy in eV per atom: -0.327
Magnetization in Bohr magnetons per cell: 0.0